DFT (PBE+U) results for a relaxed structure of Fe4OF7.

Cell: 6.3475 6.9124 6.8468 Å, 90.00 90.00 90.00°
Space group Imm2 (No. 44)
Symmetry-distinct sites (fractional):
Fe (0.0000, 0.0000, 0.0000) x2
Fe (0.0000, 0.5000, 0.4694) x2
Fe (0.2297, 0.0000, 0.4693) x4
O (0.0000, 0.0000, 0.2836) x2
F (0.0000, 0.0000, 0.6945) x2
F (0.0000, 0.5000, 0.1631) x2
F (0.0000, 0.5000, 0.7786) x2
F (0.2463, 0.2932, 0.4772) x8

Results
corrected total energy (MP2020 scheme)	-6.74	eV per atom
energy of formation	-2.392	eV per atom
E_tot	-5.67	eV per atom